1.
First-principles (PBE+U) data for a relaxed structure of LiCoC2O6, as listed in the Materials Project database.

Lattice parameters (Å, degrees): 5.8173 6.4388 15.3383 87.09 83.50 63.21
Sites, in units of the cell vectors:
Li  0.0000  0.0000  0.0000
Li  0.0050  0.0047  0.4998
Li  0.1553  0.6840  0.2525
Li  0.1657  0.6873  0.7471
Co  0.4442  0.1313  0.3376
Co  0.4570  0.1393  0.8366
Co  0.7378  0.5533  0.5855
Co  0.7479  0.5498  0.0884
C  0.1005  0.5259  0.4441
C  0.1004  0.5310  0.9432
C  0.5256  0.9843  0.9843
C  0.5380  0.9814  0.4828
C  0.6652  0.7060  0.2352
C  0.6732  0.7047  0.7316
C  0.7774  0.1594  0.1968
C  0.7938  0.1593  0.6911
O  0.1597  0.6557  0.4840
O  0.1638  0.6546  0.9853
O  0.2125  0.4464  0.3631
O  0.2191  0.4532  0.8627
O  0.3148  0.0269  0.9516
O  0.3283  0.0258  0.4458
O  0.4917  0.6713  0.2023
O  0.5133  0.6542  0.6942
O  0.5338  0.2255  0.2262
O  0.5522  0.2205  0.7212
O  0.5777  0.8752  0.5567
O  0.5873  0.8756  0.0570
O  0.5999  0.8152  0.8047
O  0.6263  0.8107  0.3084
O  0.6758  0.0629  0.9393
O  0.6874  0.0593  0.4410
O  0.8125  0.2385  0.1159
O  0.8311  0.2379  0.6102
O  0.8945  0.6197  0.1904
O  0.9009  0.6322  0.6904
O  0.9187  0.4703  0.9718
O  0.9227  0.4604  0.4743
O  0.9652  0.0337  0.2377
O  0.9827  0.0306  0.7313

Values from the calculation:
- VASP energy (eV per cell) = -274.24
- energy above the lowest structure with this stoichiometry (eV/atom) = 0.053

2.
First-principles (PBE+U) data for a relaxed structure of Co3Te2P2O14, as listed in the Materials Project database.

Lattice parameters (Å, degrees): 10.0365 10.0365 4.8084 102.52 102.52 34.70
Sites, in units of the cell vectors:
Co  0.0000  0.0000  0.0000
Co  0.0000  0.5000  0.0000
Co  0.5000  0.0000  0.0000
Te  0.4034  0.4034  0.9673
Te  0.5966  0.5966  0.0327
P  0.1621  0.1621  0.4078
P  0.8379  0.8379  0.5922
O  0.0203  0.5994  0.7246
O  0.0809  0.0809  0.3481
O  0.1956  0.1956  0.7381
O  0.2072  0.6975  0.1739
O  0.3025  0.7928  0.8261
O  0.3210  0.3210  0.1496
O  0.4006  0.9797  0.2754
O  0.5994  0.0203  0.7246
O  0.6790  0.6790  0.8504
O  0.6975  0.2072  0.1739
O  0.7928  0.3025  0.8261
O  0.8044  0.8044  0.2619
O  0.9191  0.9191  0.6519
O  0.9797  0.4006  0.2754

Values from the calculation:
- VASP energy (eV per cell) = -128.06

3.
First-principles (PBE+U) data for a relaxed structure of Li2V2F7, as listed in the Materials Project database.

Lattice parameters (Å, degrees): 12.4596 5.3017 7.7002 90.00 90.00 90.00
Sites, in units of the cell vectors:
Li  0.0726  0.1165  0.0000
Li  0.1811  0.1241  0.5014
Li  0.3189  0.6241  0.0014
Li  0.4274  0.6165  0.5000
Li  0.5726  0.3835  0.0000
Li  0.6811  0.3759  0.5014
Li  0.8189  0.8759  0.0014
Li  0.9274  0.8835  0.5000
V  0.1220  0.6475  0.2761
V  0.1277  0.6347  0.7406
V  0.3723  0.1346  0.2406
V  0.3780  0.1475  0.7761
V  0.6220  0.8525  0.2761
V  0.6277  0.8654  0.7406
V  0.8723  0.3654  0.2406
V  0.8780  0.3525  0.7761
F  0.0451  0.2963  0.7790
F  0.0542  0.3138  0.2091
F  0.0760  0.8858  0.4789
F  0.1157  0.7644  0.0148
F  0.1573  0.4674  0.4962
F  0.2316  0.9402  0.2988
F  0.2406  0.9647  0.7002
F  0.2594  0.4647  0.2002
F  0.2684  0.4402  0.7988
F  0.3427  0.9674  0.9962
F  0.3843  0.2644  0.5148
F  0.4240  0.3858  0.9789
F  0.4458  0.8138  0.7091
F  0.4549  0.7963  0.2790
F  0.5451  0.2037  0.7790
F  0.5542  0.1862  0.2091
F  0.5760  0.6142  0.4789
F  0.6157  0.7356  0.0148
F  0.6573  0.0326  0.4962
F  0.7316  0.5598  0.2988
F  0.7406  0.5353  0.7002
F  0.7594  0.0353  0.2002
F  0.7684  0.0598  0.7988
F  0.8427  0.5326  0.9962
F  0.8843  0.2356  0.5148
F  0.9240  0.1142  0.9789
F  0.9458  0.6862  0.7091
F  0.9549  0.7037  0.2790

Values from the calculation:
- VASP energy (eV per cell) = -249.87
- energy above the lowest structure with this stoichiometry (eV/atom) = 0.046

4.
First-principles (PBE+U) data for a relaxed structure of LiVPO5, as listed in the Materials Project database.

Lattice parameters (Å, degrees): 7.6208 6.0291 7.8560 90.00 90.00 90.00
Sites, in units of the cell vectors:
Li  0.1355  0.2500  0.1649
Li  0.3645  0.7500  0.6649
Li  0.6355  0.2500  0.3351
Li  0.8645  0.7500  0.8351
V  0.0000  0.0000  0.5000
V  0.0000  0.5000  0.5000
V  0.5000  0.0000  0.0000
V  0.5000  0.5000  0.0000
P  0.1349  0.7500  0.1639
P  0.3651  0.2500  0.6639
P  0.6349  0.7500  0.3361
P  0.8651  0.2500  0.8361
O  0.0040  0.2500  0.9686
O  0.1110  0.7500  0.5864
O  0.1321  0.5402  0.2817
O  0.1321  0.9598  0.2817
O  0.1729  0.2500  0.5773
O  0.3271  0.7500  0.0773
O  0.3679  0.0402  0.7817
O  0.3679  0.4598  0.7817
O  0.3890  0.2500  0.0864
O  0.4960  0.7500  0.4686
O  0.5040  0.2500  0.5314
O  0.6110  0.7500  0.9136
O  0.6321  0.5402  0.2183
O  0.6321  0.9598  0.2183
O  0.6729  0.2500  0.9227
O  0.8271  0.7500  0.4227
O  0.8679  0.0402  0.7183
O  0.8679  0.4598  0.7183
O  0.8890  0.2500  0.4136
O  0.9960  0.7500  0.0314

Values from the calculation:
- VASP energy (eV per cell) = -227.16
- energy above the lowest structure with this stoichiometry (eV/atom) = 0.069

5.
First-principles (PBE+U) data for a relaxed structure of Ti3Nb2Cr3O16, as listed in the Materials Project database.

Lattice parameters (Å, degrees): 5.9474 5.9757 9.3889 90.15 90.64 119.74
Sites, in units of the cell vectors:
Ti  0.0000  0.0000  0.0000
Ti  0.0003  0.4905  0.0015
Ti  0.8299  0.6538  0.4977
Nb  0.4952  0.4903  0.7786
Nb  0.8341  0.1605  0.2797
Cr  0.3434  0.1718  0.4897
Cr  0.3509  0.6694  0.4984
Cr  0.5140  0.0023  0.9881
O  0.0008  0.0011  0.3801
O  0.0043  0.4913  0.3806
O  0.1363  0.3128  0.1161
O  0.1734  0.8322  0.0862
O  0.1820  0.8301  0.5828
O  0.2258  0.3650  0.6157
O  0.3427  0.1715  0.8787
O  0.3446  0.6620  0.8796
O  0.5074  0.5095  0.3877
O  0.5135  0.0012  0.3796
O  0.6544  0.7922  0.6138
O  0.6631  0.3653  0.6154
O  0.7047  0.3177  0.1166
O  0.7052  0.8794  0.1168
O  0.8325  0.6628  0.8793
O  0.8550  0.1732  0.8862

Values from the calculation:
- VASP energy (eV per cell) = -203.44

6.
First-principles (PBE+U) data for a relaxed structure of CoP4O12, as listed in the Materials Project database.

Lattice parameters (Å, degrees): 12.8184 8.4077 9.2622 90.00 90.00 90.00
Sites, in units of the cell vectors:
Co  0.0000  0.1410  0.2500
Co  0.0000  0.8590  0.7500
Co  0.5000  0.3590  0.7500
Co  0.5000  0.6410  0.2500
P  0.1430  0.3163  0.0077
P  0.1430  0.6837  0.5077
P  0.1489  0.0357  0.5127
P  0.1489  0.9643  0.0127
P  0.3511  0.4643  0.0127
P  0.3511  0.5357  0.5127
P  0.3570  0.1837  0.5077
P  0.3570  0.8163  0.0077
P  0.6430  0.1837  0.9923
P  0.6430  0.8163  0.4923
P  0.6489  0.4643  0.4873
P  0.6489  0.5357  0.9873
P  0.8511  0.0357  0.9873
P  0.8511  0.9643  0.4873
P  0.8570  0.3163  0.4923
P  0.8570  0.6837  0.9923
O  0.0672  0.3013  0.1343
O  0.0672  0.6987  0.6343
O  0.0684  0.0286  0.6315
O  0.0684  0.9714  0.1315
O  0.1049  0.4048  0.8796
O  0.1049  0.5952  0.3796
O  0.1246  0.1310  0.3795
O  0.1246  0.8690  0.8795
O  0.1835  0.1404  0.9653
O  0.1835  0.8596  0.4653
O  0.2460  0.3932  0.0797
O  0.2460  0.6068  0.5797
O  0.2540  0.1068  0.5797
O  0.2540  0.8932  0.0797
O  0.3165  0.3596  0.4653
O  0.3165  0.6404  0.9653
O  0.3754  0.3690  0.8795
O  0.3754  0.6310  0.3795
O  0.3951  0.0952  0.3796
O  0.3951  0.9048  0.8796
O  0.4316  0.4714  0.1315
O  0.4316  0.5286  0.6315
O  0.4328  0.1987  0.6343
O  0.4328  0.8013  0.1343
O  0.5672  0.1987  0.8657
O  0.5672  0.8013  0.3657
O  0.5684  0.4714  0.3685
O  0.5684  0.5286  0.8685
O  0.6049  0.0952  0.1204
O  0.6049  0.9048  0.6204
O  0.6246  0.3690  0.6205
O  0.6246  0.6310  0.1205
O  0.6835  0.3596  0.0347
O  0.6835  0.6404  0.5347
O  0.7460  0.1068  0.9203
O  0.7460  0.8932  0.4203
O  0.7540  0.3932  0.4203
O  0.7540  0.6068  0.9203
O  0.8165  0.1404  0.5347
O  0.8165  0.8596  0.0347
O  0.8754  0.1310  0.1205
O  0.8754  0.8690  0.6205
O  0.8951  0.4048  0.6204
O  0.8951  0.5952  0.1204
O  0.9316  0.0286  0.8685
O  0.9316  0.9714  0.3685
O  0.9328  0.3013  0.3657
O  0.9328  0.6987  0.8657

Values from the calculation:
- VASP energy (eV per cell) = -463.71
- energy above the lowest structure with this stoichiometry (eV/atom) = 0.005

7.
First-principles (PBE+U) data for a relaxed structure of Sr2MgVO4, as listed in the Materials Project database.

Lattice parameters (Å, degrees): 7.6158 7.6158 7.6158 149.02 149.02 44.39
Sites, in units of the cell vectors:
Sr  0.1101  0.1101  0.0000
Sr  0.8899  0.8899  0.0000
Mg  0.2500  0.7500  0.5000
V  0.5000  0.5000  0.0000
O  0.0096  0.5096  0.5000
O  0.3077  0.3077  0.0000
O  0.4904  0.9904  0.5000
O  0.6923  0.6923  0.0000

Values from the calculation:
- VASP energy (eV per cell) = -47.80
- energy above the lowest structure with this stoichiometry (eV/atom) = 0.353

8.
First-principles (PBE+U) data for a relaxed structure of V5O12, as listed in the Materials Project database.

Lattice parameters (Å, degrees): 4.9697 4.9731 9.0360 92.02 92.92 112.47
Sites, in units of the cell vectors:
V  0.0000  0.0000  0.0000
V  0.0008  0.5836  0.7314
V  0.4388  0.1188  0.2206
V  0.5656  0.5552  0.4401
V  0.6096  0.9508  0.7098
O  0.1252  0.7993  0.1257
O  0.2537  0.2130  0.3656
O  0.2806  0.8965  0.8334
O  0.2946  0.6122  0.6090
O  0.3490  0.3091  0.0759
O  0.5110  0.8154  0.3432
O  0.6478  0.2708  0.6161
O  0.7456  0.0584  0.0966
O  0.7528  0.7180  0.8548
O  0.7657  0.4320  0.3193
O  0.8476  0.7993  0.5879
O  0.9658  0.2723  0.8330

Values from the calculation:
- VASP energy (eV per cell) = -126.04
- energy above the lowest structure with this stoichiometry (eV/atom) = 0.085

Please write out number 3 again, unchanged.
First-principles (PBE+U) data for a relaxed structure of Li2V2F7, as listed in the Materials Project database.

Lattice parameters (Å, degrees): 12.4596 5.3017 7.7002 90.00 90.00 90.00
Sites, in units of the cell vectors:
Li  0.0726  0.1165  0.0000
Li  0.1811  0.1241  0.5014
Li  0.3189  0.6241  0.0014
Li  0.4274  0.6165  0.5000
Li  0.5726  0.3835  0.0000
Li  0.6811  0.3759  0.5014
Li  0.8189  0.8759  0.0014
Li  0.9274  0.8835  0.5000
V  0.1220  0.6475  0.2761
V  0.1277  0.6347  0.7406
V  0.3723  0.1346  0.2406
V  0.3780  0.1475  0.7761
V  0.6220  0.8525  0.2761
V  0.6277  0.8654  0.7406
V  0.8723  0.3654  0.2406
V  0.8780  0.3525  0.7761
F  0.0451  0.2963  0.7790
F  0.0542  0.3138  0.2091
F  0.0760  0.8858  0.4789
F  0.1157  0.7644  0.0148
F  0.1573  0.4674  0.4962
F  0.2316  0.9402  0.2988
F  0.2406  0.9647  0.7002
F  0.2594  0.4647  0.2002
F  0.2684  0.4402  0.7988
F  0.3427  0.9674  0.9962
F  0.3843  0.2644  0.5148
F  0.4240  0.3858  0.9789
F  0.4458  0.8138  0.7091
F  0.4549  0.7963  0.2790
F  0.5451  0.2037  0.7790
F  0.5542  0.1862  0.2091
F  0.5760  0.6142  0.4789
F  0.6157  0.7356  0.0148
F  0.6573  0.0326  0.4962
F  0.7316  0.5598  0.2988
F  0.7406  0.5353  0.7002
F  0.7594  0.0353  0.2002
F  0.7684  0.0598  0.7988
F  0.8427  0.5326  0.9962
F  0.8843  0.2356  0.5148
F  0.9240  0.1142  0.9789
F  0.9458  0.6862  0.7091
F  0.9549  0.7037  0.2790

Values from the calculation:
- VASP energy (eV per cell) = -249.87
- energy above the lowest structure with this stoichiometry (eV/atom) = 0.046